one | CoP3O9 (PBE+U, relaxed); ρ = 3.4 g/cm³
1.0
8.2466 0.0000 0.0000
0.0000 8.3942 0.0000
0.0000 0.0000 8.3998
Co P O
4 12 36
Cartesian
1.1011 7.1779 1.2437
7.1456 2.9808 2.9562
5.2244 5.4134 7.1561
3.0222 1.2163 5.4436
2.6927 4.3051 5.8171
7.9742 6.8775 6.8608
6.8160 8.2862 2.5828
1.4306 4.0891 1.6172
1.7390 6.8213 4.6148
5.5540 0.1080 6.7827
3.8508 5.7138 1.5391
4.3958 1.5167 2.6608
0.2725 2.6804 5.7390
5.8623 5.7700 3.7850
2.3843 1.5729 0.4149
6.5076 2.6242 7.9849
0.7269 5.2928 1.0579
1.3190 7.1127 3.2137
2.9440 4.4671 2.0156
2.6538 7.7267 5.3975
5.2719 2.6474 3.1409
1.1794 3.9271 6.2155
3.2554 1.0971 3.5568
7.0673 8.1242 6.3843
7.8591 2.3241 7.1477
4.9913 5.2942 0.6431
1.7020 3.0384 0.4310
3.7358 1.8730 1.2521
6.7771 4.8646 3.0023
4.9316 0.8249 5.6051
2.4213 5.3558 4.6309
2.9748 6.8445 1.0590
7.4384 7.5693 1.4052
0.8083 3.3722 2.7947
7.0981 5.7468 7.3408
7.3787 3.1000 4.8430
5.4423 5.4786 5.1861
1.4695 0.6675 1.1976
2.8044 1.2815 7.4136
5.8254 1.1587 7.9688
4.5108 6.0701 2.9478
6.9277 2.9156 0.9862
0.3875 6.5212 5.4520
7.5198 1.0957 3.1420
3.3151 5.0220 6.9946
6.5446 7.2355 3.7689
1.1486 1.5497 5.2589
4.8502 7.2985 7.3419
5.3027 0.2700 2.1844
0.8679 7.2971 7.7567
5.5929 3.5296 7.2023
3.3964 3.1014 5.2579


two | CoP3O9 (PBE+U, relaxed); ρ = 2.8 g/cm³
1.0
-1.8403 -8.7187 -3.1783
9.2689 0.6304 1.8036
-4.8761 0.7922 8.1784
Co P O
4 12 36
Cartesian
3.1723 -1.1827 6.5317
0.9396 -6.7135 4.9071
-0.6199 -6.1134 0.2720
1.6128 -0.5825 1.8966
-1.3415 -7.9376 2.8388
6.4442 0.0831 2.6206
6.5269 -6.4647 -0.3138
-3.8758 -3.6289 6.0446
3.8918 -3.0999 2.3196
0.6047 -1.8537 4.6911
-1.3394 -4.1962 4.4841
1.9477 -5.4423 2.1126
-3.8918 -7.3792 4.1831
6.4282 -3.6671 0.7591
-3.9745 -0.8314 7.1175
3.8939 0.6415 3.9649
4.5783 -2.5674 6.6637
-0.4522 -2.9386 5.0845
2.2028 -1.8553 8.0241
0.6090 -5.1142 1.5056
0.7353 -8.2454 -2.4890
2.5992 -6.6919 1.3369
-0.0468 -0.6041 5.4668
-2.4634 -4.2256 5.6975
1.9211 0.6227 6.5492
-0.5300 -5.4399 4.7753
-1.6463 -7.4138 -1.1057
-2.6466 -0.0465 6.7184
4.4519 -3.3730 3.6364
-4.2720 -6.1768 3.4473
-1.8995 -3.9231 3.1673
-2.2978 -7.7250 4.0701
6.8244 -1.1192 3.3564
-3.4868 -2.3439 6.9501
3.0824 -1.8562 2.0284
4.0846 -0.4093 5.0311
3.0046 -4.3575 1.7192
5.1990 -7.2496 0.0854
5.0158 -3.0704 1.1062
1.8171 0.9494 9.2927
0.5660 -1.3659 0.3854
6.0392 -4.9522 -0.1464
0.5839 -1.5270 3.2109
4.8502 0.4290 2.7336
-1.5322 -6.8868 1.7726
1.9685 -5.7690 3.5928
0.6313 -7.9187 0.2546
1.9865 -5.9302 6.4184
0.3496 -5.4407 -1.2203
1.9434 -2.1819 5.2981
4.1987 0.1177 7.9094
-2.0259 -4.7287 0.1400


Short version: one is the most stable of them.


one | CoP3O9 (PBE+U, relaxed); ρ = 2.5 g/cm³
1.0
-1.2686 -2.2398 -4.4262
1.1568 -10.7222 5.0942
-12.4781 0.2845 3.4325
Co P O
4 12 36
Cartesian
0.0000 0.0000 0.0000
-6.2390 0.1422 1.7162
0.5784 -5.3611 2.5471
-5.6606 -5.2188 4.2633
0.5641 -8.5776 2.7615
-5.6750 -8.4353 4.4778
-8.4135 -1.8255 0.3975
-11.3690 -1.7582 1.2105
-1.7891 -5.5401 0.3786
-4.7445 -5.4728 1.1915
-7.8454 -7.2047 2.9089
-10.8008 -7.1373 3.7219
-1.2209 -10.9193 2.8899
-4.1763 -10.8519 3.7029
-0.6759 -4.3844 -2.0936
-6.9149 -4.2422 -0.3773
0.0756 -7.1951 3.1008
-5.0236 -7.0788 4.5036
-5.9412 -9.1120 5.7954
-11.0405 -8.9957 7.1981
-7.9109 -0.9439 1.5115
-11.1936 -0.8690 2.4146
-1.2344 -5.1404 1.7215
-4.5172 -5.0656 2.6245
-1.5361 -0.7163 -1.0700
-5.4978 -0.6259 0.0198
-7.2041 -5.8670 3.1609
-11.1658 -5.7766 4.2507
-7.0594 -8.3865 3.6699
-11.1365 -8.2935 4.7915
-0.7188 -9.4695 2.4007
-4.7960 -9.3765 3.5222
-9.2180 -7.3012 3.7081
-2.6508 -10.4855 3.4372
-9.9391 -2.1920 0.6633
-3.3718 -5.3763 0.3923
-7.7939 -3.3010 0.5782
-11.8711 -3.2080 1.6998
-1.4533 -4.3840 -0.6910
-5.5305 -4.2910 0.4305
-7.0921 -12.0515 4.0807
-11.0538 -11.9612 5.1705
-1.4241 -6.9008 -0.1503
-5.3858 -6.8105 0.9395
-8.0727 -7.6119 1.4759
-11.3555 -7.5371 2.3789
-1.3962 -11.8084 1.6859
-4.6790 -11.7336 2.5889
-1.5494 -3.6817 -3.0977
-6.6486 -3.5655 -1.6950
-7.5662 -5.5987 -0.4031
-12.6655 -5.4824 0.9996


two | CoP3O9 (PBE+U, relaxed); ρ = 2.9 g/cm³
1.0
6.3520 0.0000 0.0000
0.0000 9.9580 0.0000
0.0000 0.0000 10.8058
Co P O
4 12 36
Cartesian
0.0000 0.0000 0.0000
3.1760 0.0000 5.4029
0.0000 4.9790 5.4029
3.1760 4.9790 0.0000
4.7640 9.1425 8.1043
2.2949 7.8593 9.3799
0.8811 7.8593 6.8287
5.4708 7.0777 1.4258
4.0571 7.0777 3.9771
1.5880 5.7945 2.7014
4.7640 4.1635 8.1043
2.2949 2.8803 6.8287
0.8811 2.8803 9.3799
4.0571 2.0987 1.4258
5.4708 2.0987 3.9771
1.5880 0.8155 2.7014
0.9500 9.9130 1.6413
2.2260 9.9130 3.7615
1.5376 9.1564 6.4494
1.6384 9.1564 9.7592
3.8925 8.1148 5.0445
5.6355 8.1148 0.3584
3.7572 8.1176 8.7520
5.7708 8.1176 7.4566
4.7640 7.7701 2.7014
1.5880 7.1669 8.1043
0.5812 6.8194 2.0537
2.5948 6.8194 3.3492
0.7165 6.8222 5.7613
2.4595 6.8222 10.4473
4.8144 5.7806 1.0466
4.7136 5.7806 4.3563
5.4019 5.0241 7.0442
4.1260 5.0241 9.1644
2.2260 4.9340 1.6413
0.9500 4.9340 3.7615
1.6384 4.1774 6.4494
1.5376 4.1774 9.7592
3.8925 3.1358 0.3584
5.6355 3.1358 5.0445
3.7572 3.1386 7.4566
5.7708 3.1386 8.7520
4.7640 2.7911 2.7014
1.5880 2.1879 8.1043
2.5948 1.8404 2.0537
0.5812 1.8404 3.3492
2.4595 1.8432 5.7613
0.7165 1.8432 10.4473
4.7136 0.8016 1.0466
4.8144 0.8016 4.3563
4.1260 0.0451 7.0442
5.4019 0.0451 9.1644


Short version: one is the most stable of them.


one | Co3P2O9 (PBE+U, relaxed); ρ = 3.9 g/cm³
1.0
7.9492 0.0000 0.0000
0.0000 9.3863 0.0000
0.0000 4.1115 8.6349
Co P O
12 8 36
Cartesian
4.7176 1.2966 2.0325
0.7430 7.5080 6.6024
3.2316 12.2011 6.6024
7.2062 5.9898 2.0325
4.8229 4.2634 0.9455
0.8483 4.5412 7.6894
3.1263 9.2344 7.6894
7.1009 8.9565 0.9455
5.4324 6.7656 5.0231
1.4578 2.0390 3.6118
2.5168 6.7322 3.6118
6.4915 11.4587 5.0231
7.6507 2.6904 1.0705
3.6760 6.1142 7.5645
0.2986 10.8074 7.5645
4.2732 7.3835 1.0705
4.0710 3.9038 4.1871
0.0964 4.9008 4.4479
3.8783 9.5940 4.4479
7.8529 8.5970 4.1871
6.8751 4.0385 1.2550
2.9005 4.7661 7.3799
1.0742 9.4593 7.3799
5.0488 8.7317 1.2550
4.9836 6.1450 6.7606
1.0090 2.6596 1.8743
2.9657 7.3527 1.8743
6.9403 10.8382 6.7606
4.0413 2.2331 0.4227
0.0667 6.5715 8.2122
3.9079 11.2646 8.2122
7.8826 6.9263 0.4227
6.6969 1.5415 1.5600
2.7223 7.2631 7.0750
1.2523 11.9563 7.0750
5.2269 6.2347 1.5600
6.6632 5.5271 4.0549
2.6886 3.2775 4.5800
1.2860 7.9706 4.5800
5.2607 10.2203 4.0549
4.5639 3.4261 2.8003
0.5892 5.3785 5.8347
3.3854 10.0717 5.8347
7.3600 8.1192 2.8003
3.9121 5.4514 4.2313
7.8867 3.3532 4.4036
4.0371 8.0464 4.4036
0.0625 10.1445 4.2313
4.9934 3.3973 5.3422
1.0188 5.4073 3.2928
2.9558 10.1004 3.2928
6.9304 8.0905 5.3422
6.9274 4.0526 7.8919
2.9528 4.7520 0.7430
1.0218 9.4452 0.7430
4.9964 8.7458 7.8919


two | Co3P2O9 (PBE+U, relaxed); ρ = 2.8 g/cm³
1.0
-1.8358 8.6451 6.2281
-7.6682 0.9491 -3.5776
-2.5686 -12.5967 2.1639
Co P O
12 8 36
Cartesian
-5.6808 -4.4091 1.1416
-11.3076 -4.4422 3.0605
-6.3918 1.4066 3.6728
-0.7650 1.4397 1.7539
-4.6218 -7.5081 0.7829
-10.2981 -1.5993 4.3842
-7.4508 4.5056 4.0315
-1.7745 -1.4032 0.4302
-4.4299 -1.8634 4.2097
-8.7186 -7.4633 1.7839
-7.6427 -1.1391 0.6047
-3.3540 4.4608 3.0305
-2.3041 -8.6462 2.4867
-7.3384 -1.1144 5.1426
-9.7685 5.6437 2.3276
-4.7342 -1.8881 -0.3282
-6.5341 -5.8001 3.1189
-10.0627 -3.0997 1.2658
-5.5385 2.7976 1.6954
-2.0099 0.0973 3.5486
-3.0489 -7.4895 1.7690
-8.5771 -2.0256 4.9349
-9.0237 4.4870 3.0453
-3.4955 -0.9769 -0.1205
-6.0375 -1.9285 5.1800
-8.9712 -7.1679 -0.0544
-6.0351 -1.0740 -0.3657
-3.1014 4.1654 4.8688
-5.6909 -8.9875 0.2497
-11.0697 0.1079 4.0586
-6.3817 5.9850 4.5647
-1.0029 -3.1104 0.7558
-3.4327 -9.4590 3.2410
-7.3065 -0.1659 3.8766
-8.6399 6.4565 1.5734
-4.7661 -2.8366 0.9377
-3.3245 -3.3713 3.8359
-8.0111 -6.1797 3.0035
-8.7481 0.3688 0.9785
-4.0615 3.1772 1.8109
-5.8262 -6.2536 1.7178
-10.5917 -2.6684 2.7504
-6.2464 3.2511 3.0966
-1.4809 -0.3341 2.0640
-6.2615 -4.2671 2.9442
-10.3331 -4.6331 1.4415
-5.8111 1.2646 1.8702
-1.7395 1.6306 3.3728
-5.8528 -6.3991 4.3366
-8.5972 -2.7665 1.0498
-6.2198 3.3966 0.4778
-3.4754 -0.2360 3.7646
-2.4567 7.7100 5.3788
-5.9597 -4.7077 -0.5397
-9.6159 -10.7125 -0.5644
-6.1129 1.7052 5.3541


three | Co3P2O9 (PBE+U, relaxed); ρ = 3.1 g/cm³
1.0
-1.9460 5.4078 5.6279
-9.0563 -0.9101 -2.2568
-5.1861 -8.4147 6.2923
Co P O
12 8 36
Cartesian
-10.8240 0.2806 4.1340
-9.7312 -5.1010 3.9345
-5.3644 -4.1977 5.5294
-6.4571 1.1840 5.7290
-2.6338 0.4398 1.4755
-9.0042 -3.9634 9.2522
-13.5545 -4.3568 8.1879
-7.1841 0.0463 0.4112
-3.1774 -1.8964 4.3967
-8.7532 -0.8140 7.1772
-13.0110 -2.0206 5.2667
-7.4351 -3.1030 2.4862
-7.8077 -7.4267 4.5586
-2.9208 1.3757 3.5388
-8.3806 3.5097 5.1048
-13.2675 -5.2928 6.1246
-9.8356 -2.1466 4.3024
-11.8173 0.3769 6.9409
-6.3527 -1.7704 5.3610
-4.3710 -4.2939 2.7225
-9.2345 -6.8789 4.4806
-10.8691 0.8037 2.2819
-6.9538 2.9619 5.1828
-5.3192 -4.7207 7.3815
-3.5024 -0.0478 3.6442
-8.8128 -1.5938 9.0421
-12.6860 -3.8692 6.0192
-7.3755 -2.3232 0.6213
-3.9424 2.4919 3.3351
-7.1998 -7.3932 5.9587
-12.2459 -6.4089 6.3283
-8.9886 3.4762 3.7047
-4.4861 0.6522 0.8800
-7.2363 -3.9415 10.0916
-11.7023 -4.5692 8.7834
-8.9521 0.0244 -0.4281
-10.8145 -4.3152 2.3641
-9.5915 -0.9197 5.2729
-5.3738 0.3982 7.2993
-6.5969 -2.9973 4.3906
-9.7032 -3.5068 5.0071
-11.7304 1.1274 5.6017
-6.4852 -0.4102 4.6563
-4.4579 -5.0445 4.0617
-11.3590 -1.8602 3.8758
-8.4750 -4.9642 2.1070
-4.8293 -2.0568 5.7876
-7.7133 1.0472 7.5564
-8.9541 -1.9850 3.0645
-12.2292 -1.0898 6.8206
-7.2342 -1.9321 6.5989
-3.9592 -2.8272 2.8429
-9.9514 -0.7812 -0.0426
-10.6884 -3.8041 8.3557
-6.2370 -3.1358 9.7060
-5.4999 -0.1130 1.3077


Short version: one is the most stable of them.